# 1
# Li2WS4 | Materials Project | PBE | optimized geometry
data_Li2WS4
_space_group_name_H-M_alt 'P 1'
_space_group_IT_number 1
_cell_length_a 6.7786
_cell_length_b 6.7786
_cell_length_c 6.7786
_cell_angle_alpha 126.68
_cell_angle_beta 126.68
_cell_angle_gamma 78.77
loop_
_space_group_symop_operation_xyz
'x,y,z'
loop_
_atom_site_label
_atom_site_type_symbol
_atom_site_fract_x
_atom_site_fract_y
_atom_site_fract_z
Li1 Li 0.5000 0.0000 0.5000
Li2 Li 0.0000 0.5000 0.5000
W1 W 0.0000 0.0000 0.0000
S1 S 0.6686 0.0935 0.0000
S2 S 0.3314 0.3314 0.4249
S3 S 0.0935 0.6686 0.0000
S4 S 0.9065 0.9065 0.5751
# Largest piezoelectric modulus (C/m2): 0.09
# Magnetization (μB/atom): 0.000
# ΔE_f (eV per atom): -1.14

=====

# 2
# Na3SO4F | Materials Project | PBE | optimized geometry
data_Na3SO4F
_space_group_name_H-M_alt 'P 1'
_space_group_IT_number 1
_cell_length_a 7.0359
_cell_length_b 11.5984
_cell_length_c 18.2968
_cell_angle_alpha 72.41
_cell_angle_beta 90.00
_cell_angle_gamma 90.00
loop_
_space_group_symop_operation_xyz
'x,y,z'
loop_
_atom_site_label
_atom_site_type_symbol
_atom_site_fract_x
_atom_site_fract_y
_atom_site_fract_z
Na1 Na 0.9777 0.5509 0.2266
Na2 Na 0.2500 0.6993 0.3490
Na3 Na 0.5230 0.7085 0.0299
Na4 Na 0.0223 0.4491 0.7734
Na5 Na 0.5223 0.5509 0.2266
Na6 Na 0.7500 0.8734 0.8837
Na7 Na 0.5004 0.7330 0.7554
Na8 Na 0.0004 0.2670 0.2446
Na9 Na 0.2500 0.5622 0.8936
Na10 Na 0.9996 0.7330 0.7554
Na11 Na 0.2500 0.1843 0.8515
Na12 Na 0.9770 0.7085 0.0299
Na13 Na 0.5174 0.1899 0.5348
Na14 Na 0.2500 0.1266 0.1163
Na15 Na 0.9727 0.0297 0.7209
Na16 Na 0.4826 0.8101 0.4652
Na17 Na 0.0000 0.5000 0.5000
Na18 Na 0.7500 0.4378 0.1064
Na19 Na 0.5000 0.0000 0.0000
Na20 Na 0.4770 0.2915 0.9701
Na21 Na 0.7500 0.3007 0.6510
Na22 Na 0.4777 0.4491 0.7734
Na23 Na 0.2500 0.0951 0.3940
Na24 Na 0.9826 0.1899 0.5348
Na25 Na 0.0174 0.8101 0.4652
Na26 Na 0.5000 0.5000 0.5000
Na27 Na 0.7500 0.9049 0.6060
Na28 Na 0.5273 0.0297 0.7209
Na29 Na 0.7500 0.3975 0.3852
Na30 Na 0.4727 0.9703 0.2791
Na31 Na 0.7500 0.8157 0.1485
Na32 Na 0.4996 0.2670 0.2446
Na33 Na 0.2500 0.6025 0.6148
Na34 Na 0.0273 0.9703 0.2791
Na35 Na 0.0000 0.0000 0.0000
Na36 Na 0.0230 0.2915 0.9701
S1 S 0.7500 0.1928 0.8383
S2 S 0.7500 0.5434 0.9148
S3 S 0.7500 0.7022 0.3464
S4 S 0.7500 0.6121 0.6253
S5 S 0.2500 0.3879 0.3747
S6 S 0.7500 0.0828 0.4028
S7 S 0.7500 0.1194 0.1303
S8 S 0.2500 0.2978 0.6536
S9 S 0.2500 0.8072 0.1617
S10 S 0.2500 0.9172 0.5972
S11 S 0.2500 0.8806 0.8697
S12 S 0.2500 0.4566 0.0852
O1 O 0.7500 0.7216 0.5564
O2 O 0.2500 0.6838 0.2196
O3 O 0.7500 0.0003 0.1923
O4 O 0.4228 0.8213 0.1127
O5 O 0.7500 0.9620 0.4626
O6 O 0.9236 0.0950 0.3541
O7 O 0.0764 0.9050 0.6459
O8 O 0.0772 0.8213 0.1127
O9 O 0.7500 0.4225 0.9755
O10 O 0.0762 0.2244 0.6528
O11 O 0.2500 0.9015 0.2019
O12 O 0.4238 0.2244 0.6528
O13 O 0.2500 0.9997 0.8077
O14 O 0.5770 0.1281 0.0818
O15 O 0.0767 0.4463 0.1336
O16 O 0.2500 0.3586 0.0477
O17 O 0.5772 0.1787 0.8873
O18 O 0.7500 0.6505 0.6963
O19 O 0.5762 0.7756 0.3472
O20 O 0.7500 0.1804 0.4405
O21 O 0.2500 0.8196 0.5595
O22 O 0.7500 0.2197 0.1658
O23 O 0.2500 0.0380 0.5374
O24 O 0.2500 0.4053 0.5841
O25 O 0.4236 0.9050 0.6459
O26 O 0.2500 0.2784 0.4436
O27 O 0.9228 0.1787 0.8873
O28 O 0.4230 0.8719 0.9182
O29 O 0.7500 0.5947 0.4159
O30 O 0.9230 0.1281 0.0818
O31 O 0.0772 0.4629 0.3750
O32 O 0.2500 0.3495 0.3037
O33 O 0.2500 0.3363 0.7245
O34 O 0.4233 0.4463 0.1336
O35 O 0.9233 0.5537 0.8664
O36 O 0.0770 0.8719 0.9182
O37 O 0.7500 0.6637 0.2755
O38 O 0.5764 0.0950 0.3541
O39 O 0.9228 0.5371 0.6250
O40 O 0.7500 0.0985 0.7981
O41 O 0.2500 0.5775 0.0245
O42 O 0.2500 0.7803 0.8342
O43 O 0.9238 0.7756 0.3472
O44 O 0.5767 0.5537 0.8664
O45 O 0.4228 0.4629 0.3750
O46 O 0.7500 0.6414 0.9523
O47 O 0.7500 0.3162 0.7804
O48 O 0.5772 0.5371 0.6250
F1 F 0.2500 0.3733 0.8754
F2 F 0.2500 0.1368 0.2373
F3 F 0.2500 0.1239 0.9896
F4 F 0.7500 0.3948 0.2578
F5 F 0.7500 0.0931 0.6220
F6 F 0.2500 0.6052 0.7422
F7 F 0.7500 0.8761 0.0104
F8 F 0.7500 0.6267 0.1246
F9 F 0.7500 0.8632 0.7627
F10 F 0.2500 0.9069 0.3780
F11 F 0.2500 0.6435 0.4790
F12 F 0.7500 0.3565 0.5210
# Magnetization (μB/atom): 0.000
# ΔE_f (eV per atom): -2.38

=====

# 3
# Na6MgSi2Ge3P4O24 | Materials Project | PBE | optimized geometry
data_Na6MgSi2Ge3P4O24
_space_group_name_H-M_alt 'P 1'
_space_group_IT_number 1
_cell_length_a 15.1281
_cell_length_b 8.7234
_cell_length_c 8.7498
_cell_angle_alpha 89.71
_cell_angle_beta 124.91
_cell_angle_gamma 90.07
loop_
_space_group_symop_operation_xyz
'x,y,z'
loop_
_atom_site_label
_atom_site_type_symbol
_atom_site_fract_x
_atom_site_fract_y
_atom_site_fract_z
Na1 Na 0.2501 0.7486 0.9990
Na2 Na 0.7476 0.7468 0.4892
Na3 Na 0.7501 0.2486 0.9990
Na4 Na 0.2476 0.2468 0.4892
Na5 Na 0.5059 0.0938 0.7607
Na6 Na 0.5005 0.8895 0.2406
Na7 Na 0.0059 0.5938 0.7607
Na8 Na 0.0005 0.3895 0.2406
Na9 Na 0.8034 0.9247 0.2123
Na10 Na 0.1845 0.0787 0.7968
Na11 Na 0.3034 0.4247 0.2123
Na12 Na 0.6845 0.5787 0.7968
Mg1 Mg 0.1047 0.2458 0.0638
Mg2 Mg 0.6047 0.7458 0.0638
Si1 Si 0.6501 0.8996 0.7469
Si2 Si 0.3577 0.1009 0.2579
Si3 Si 0.1501 0.3996 0.7469
Si4 Si 0.8577 0.6009 0.2579
Ge1 Ge 0.1038 0.7491 0.5618
Ge2 Ge 0.8946 0.7521 0.9362
Ge3 Ge 0.8984 0.2526 0.4408
Ge4 Ge 0.6038 0.2491 0.5618
Ge5 Ge 0.3946 0.2521 0.9362
Ge6 Ge 0.3984 0.7526 0.4408
P1 P 0.9950 0.9571 0.7449
P2 P 0.0010 0.0362 0.2565
P3 P 0.4950 0.4571 0.7449
P4 P 0.5010 0.5362 0.2565
P5 P 0.3524 0.8933 0.7518
P6 P 0.6468 0.1187 0.2512
P7 P 0.8524 0.3933 0.7518
P8 P 0.1468 0.6187 0.2512
O1 O 0.1553 0.5876 0.7303
O2 O 0.8485 0.5743 0.7538
O3 O 0.8568 0.4108 0.2656
O4 O 0.1524 0.4428 0.2481
O5 O 0.6553 0.0876 0.7303
O6 O 0.3485 0.0743 0.7538
O7 O 0.3568 0.9108 0.2656
O8 O 0.6524 0.9428 0.2481
O9 O 0.4200 0.5517 0.5604
O10 O 0.5649 0.5567 0.9130
O11 O 0.5700 0.4403 0.4375
O12 O 0.4303 0.4318 0.0825
O13 O 0.9200 0.0517 0.5604
O14 O 0.0649 0.0567 0.9130
O15 O 0.0700 0.9403 0.4375
O16 O 0.9303 0.9318 0.0825
O17 O 0.2476 0.8371 0.7297
O18 O 0.7519 0.8144 0.7606
O19 O 0.7453 0.1875 0.2625
O20 O 0.2606 0.1820 0.2480
O21 O 0.7476 0.3371 0.7297
O22 O 0.2519 0.3144 0.7606
O23 O 0.2453 0.6875 0.2625
O24 O 0.7606 0.6820 0.2480
O25 O 0.3569 0.8605 0.5805
O26 O 0.6480 0.8752 0.9259
O27 O 0.6456 0.1583 0.4210
O28 O 0.3606 0.1289 0.0703
O29 O 0.8569 0.3605 0.5805
O30 O 0.1480 0.3752 0.9259
O31 O 0.1456 0.6583 0.4210
O32 O 0.8606 0.6289 0.0703
O33 O 0.4488 0.8309 0.9329
O34 O 0.5426 0.8138 0.5625
O35 O 0.5441 0.1816 0.0648
O36 O 0.4684 0.1718 0.4403
O37 O 0.9488 0.3309 0.9329
O38 O 0.0426 0.3138 0.5625
O39 O 0.0441 0.6816 0.0648
O40 O 0.9684 0.6718 0.4403
O41 O 0.0779 0.8549 0.7342
O42 O 0.9202 0.8416 0.7568
O43 O 0.9124 0.1291 0.2598
O44 O 0.0747 0.1487 0.2485
O45 O 0.5779 0.3549 0.7342
O46 O 0.4202 0.3416 0.7568
O47 O 0.4124 0.6291 0.2598
O48 O 0.5747 0.6487 0.2485
# Magnetization (μB/atom): 0.000
# ΔE_f (eV per atom): -2.56

=====

# 4
# CaAl4Si2O12 | Materials Project | PBE | optimized geometry
data_CaAl4Si2O12
_space_group_name_H-M_alt 'P 1'
_space_group_IT_number 1
_cell_length_a 5.1974
_cell_length_b 5.2245
_cell_length_c 19.3724
_cell_angle_alpha 87.90
_cell_angle_beta 85.77
_cell_angle_gamma 60.17
loop_
_space_group_symop_operation_xyz
'x,y,z'
loop_
_atom_site_label
_atom_site_type_symbol
_atom_site_fract_x
_atom_site_fract_y
_atom_site_fract_z
Ca1 Ca 0.9075 0.1850 0.2500
Ca2 Ca 0.0925 0.8150 0.7500
Al1 Al 0.1785 0.1950 0.5006
Al2 Al 0.6265 0.1950 0.9994
Al3 Al 0.8215 0.8050 0.4994
Al4 Al 0.3735 0.8050 0.0006
Al5 Al 0.2015 0.5142 0.3572
Al6 Al 0.2844 0.5142 0.1428
Al7 Al 0.7985 0.4858 0.6428
Al8 Al 0.7156 0.4858 0.8572
Si1 Si 0.5408 0.8578 0.3555
Si2 Si 0.6013 0.8578 0.1445
Si3 Si 0.4592 0.1422 0.6445
Si4 Si 0.3987 0.1422 0.8555
O1 O 0.5011 0.5789 0.3315
O2 O 0.9200 0.5789 0.1685
O3 O 0.4989 0.4211 0.6685
O4 O 0.0800 0.4211 0.8315
O5 O 0.9251 0.0813 0.4656
O6 O 0.9936 0.0813 0.0344
O7 O 0.0749 0.9187 0.5344
O8 O 0.0064 0.9187 0.9656
O9 O 0.1214 0.4996 0.4442
O10 O 0.3790 0.4996 0.0558
O11 O 0.8786 0.5004 0.5558
O12 O 0.6210 0.5004 0.9442
O13 O 0.2818 0.1671 0.3213
O14 O 0.5511 0.1671 0.1787
O15 O 0.7182 0.8329 0.6787
O16 O 0.4489 0.8329 0.8213
O17 O 0.8694 0.7973 0.3210
O18 O 0.3333 0.7973 0.1790
O19 O 0.1306 0.2027 0.6790
O20 O 0.6667 0.2027 0.8210
O21 O 0.5185 0.9043 0.4395
O22 O 0.5772 0.9043 0.0605
O23 O 0.4815 0.0957 0.5605
O24 O 0.4228 0.0957 0.9395
# Magnetization (μB/atom): 0.000
# ΔE_f (eV per atom): -3.08